No. 1
A geometry-optimized Mg2OsN3 structure, computed with PBE.

Output
Formation enthalpy at 0 K (eV per atom): -0.41

abc: 5.875 5.875 5.206
angles: 90.00 90.00 60.74
Fractional coordinates of all 12 atoms:
Mg: 0.013 0.661 0.500
Mg: 0.339 0.987 0.500
Mg: 0.661 0.013 0.000
Mg: 0.987 0.339 0.000
Os: 0.308 0.692 0.011
Os: 0.692 0.308 0.511
N: 0.011 0.674 0.908
N: 0.326 0.989 0.908
N: 0.380 0.620 0.378
N: 0.620 0.380 0.878
N: 0.674 0.011 0.408
N: 0.989 0.326 0.408

No. 2
A geometry-optimized MgPb2N2 structure, computed with PBE.

Output
Formation enthalpy at 0 K (eV per atom): -0.09

abc: 3.392 3.392 9.235
angles: 90.00 90.00 120.00
Fractional coordinates of all 5 atoms:
Mg: 0.000 0.000 0.000
Pb: 0.333 0.667 0.713
Pb: 0.667 0.333 0.287
N: 0.333 0.667 0.138
N: 0.667 0.333 0.862

No. 3
A geometry-optimized MgPbN2 structure, computed with PBE.

Output
Formation enthalpy at 0 K (eV per atom): -0.08

abc: 6.168 7.099 5.731
angles: 90.00 90.00 90.00
Fractional coordinates of all 16 atoms:
Mg: 0.083 0.125 0.000
Mg: 0.417 0.625 0.500
Mg: 0.583 0.375 0.000
Mg: 0.917 0.875 0.500
Pb: 0.088 0.625 0.001
Pb: 0.412 0.125 0.501
Pb: 0.588 0.875 0.001
Pb: 0.912 0.375 0.501
N: 0.075 0.117 0.370
N: 0.089 0.633 0.391
N: 0.411 0.133 0.891
N: 0.425 0.617 0.870
N: 0.575 0.383 0.370
N: 0.589 0.867 0.391
N: 0.911 0.367 0.891
N: 0.925 0.883 0.870

No. 4
A geometry-optimized Mg2PbN2 structure, computed with PBE.

Output
Formation enthalpy at 0 K (eV per atom): -0.30

abc: 3.627 3.627 6.566
angles: 90.00 90.00 120.00
Fractional coordinates of all 5 atoms:
Mg: 0.333 0.667 0.361
Mg: 0.667 0.333 0.639
Pb: 0.000 0.000 0.000
N: 0.333 0.667 0.703
N: 0.667 0.333 0.297

No. 5
A geometry-optimized MgRhN2 structure, computed with PBE.

Output
Formation enthalpy at 0 K (eV per atom): -0.07

abc: 5.880 6.587 5.343
angles: 90.00 90.00 90.00
Fractional coordinates of all 16 atoms:
Mg: 0.093 0.127 0.000
Mg: 0.407 0.627 0.500
Mg: 0.593 0.373 0.000
Mg: 0.907 0.873 0.500
Rh: 0.083 0.639 0.011
Rh: 0.417 0.139 0.511
Rh: 0.583 0.861 0.011
Rh: 0.917 0.361 0.511
N: 0.073 0.610 0.373
N: 0.101 0.131 0.398
N: 0.399 0.631 0.898
N: 0.427 0.110 0.873
N: 0.573 0.890 0.373
N: 0.601 0.369 0.398
N: 0.899 0.869 0.898
N: 0.927 0.390 0.873

No. 6
A geometry-optimized MgRuN2 structure, computed with PBE.

Output
Formation enthalpy at 0 K (eV per atom): -0.26

abc: 5.784 6.574 5.358
angles: 90.00 90.00 90.00
Fractional coordinates of all 16 atoms:
Mg: 0.092 0.125 0.000
Mg: 0.408 0.625 0.500
Mg: 0.592 0.375 0.000
Mg: 0.908 0.875 0.500
Ru: 0.072 0.638 0.011
Ru: 0.428 0.138 0.511
Ru: 0.572 0.862 0.011
Ru: 0.928 0.362 0.511
N: 0.068 0.608 0.368
N: 0.108 0.130 0.397
N: 0.392 0.630 0.897
N: 0.432 0.108 0.868
N: 0.568 0.892 0.368
N: 0.608 0.370 0.397
N: 0.892 0.870 0.897
N: 0.932 0.392 0.868

No. 7
A geometry-optimized Mg3Sc2N4 structure, computed with PBE.

Output
Formation enthalpy at 0 K (eV per atom): -1.16

abc: 6.189 6.189 5.671
angles: 90.42 90.42 89.23
Fractional coordinates of all 18 atoms:
Mg: 0.249 0.751 0.750
Mg: 0.259 0.481 0.394
Mg: 0.481 0.259 0.894
Mg: 0.519 0.741 0.106
Mg: 0.741 0.519 0.606
Mg: 0.751 0.249 0.250
Sc: 0.033 0.259 0.892
Sc: 0.259 0.033 0.392
Sc: 0.741 0.967 0.608
Sc: 0.967 0.741 0.108
N: 0.004 0.753 0.482
N: 0.245 0.512 0.008
N: 0.247 0.996 0.018
N: 0.488 0.755 0.492
N: 0.512 0.245 0.508
N: 0.753 0.004 0.982
N: 0.755 0.488 0.992
N: 0.996 0.247 0.518

No. 8
A geometry-optimized Mg5Si2N6 structure, computed with PBE.

Output
Formation enthalpy at 0 K (eV per atom): -0.94
Distance to the lowest polymorph of the same formula (eV/atom): 0.099

abc: 10.528 10.528 5.675
angles: 90.00 90.00 90.00
Fractional coordinates of all 52 atoms:
Mg: 0.000 0.500 0.000
Mg: 0.000 0.500 0.500
Mg: 0.097 0.105 0.178
Mg: 0.103 0.274 0.651
Mg: 0.105 0.903 0.822
Mg: 0.226 0.397 0.349
Mg: 0.274 0.897 0.349
Mg: 0.395 0.403 0.822
Mg: 0.397 0.774 0.651
Mg: 0.403 0.605 0.178
Mg: 0.500 0.000 0.000
Mg: 0.500 0.000 0.500
Mg: 0.597 0.395 0.178
Mg: 0.603 0.226 0.651
Mg: 0.605 0.597 0.822
Mg: 0.726 0.103 0.349
Mg: 0.774 0.603 0.349
Mg: 0.895 0.097 0.822
Mg: 0.897 0.726 0.651
Mg: 0.903 0.895 0.178
Si: 0.104 0.728 0.251
Si: 0.228 0.604 0.749
Si: 0.272 0.104 0.749
Si: 0.396 0.228 0.251
Si: 0.604 0.772 0.251
Si: 0.728 0.896 0.749
Si: 0.772 0.396 0.749
Si: 0.896 0.272 0.251
N: 0.045 0.333 0.309
N: 0.104 0.894 0.196
N: 0.106 0.104 0.804
N: 0.146 0.646 0.000
N: 0.167 0.455 0.691
N: 0.208 0.708 0.500
N: 0.292 0.208 0.500
N: 0.333 0.955 0.691
N: 0.354 0.146 0.000
N: 0.394 0.604 0.804
N: 0.396 0.394 0.196
N: 0.455 0.833 0.309
N: 0.545 0.167 0.309
N: 0.604 0.606 0.196
N: 0.606 0.396 0.804
N: 0.646 0.854 0.000
N: 0.667 0.045 0.691
N: 0.708 0.792 0.500
N: 0.792 0.292 0.500
N: 0.833 0.545 0.691
N: 0.854 0.354 0.000
N: 0.894 0.896 0.804
N: 0.896 0.106 0.196
N: 0.955 0.667 0.309

No. 9
A geometry-optimized Mg5Si2N6 structure, computed with PBE.

Output
Formation enthalpy at 0 K (eV per atom): -1.04
Distance to the lowest polymorph of the same formula (eV/atom): 0.000

abc: 5.402 5.402 12.110
angles: 94.14 94.14 58.84
Fractional coordinates of all 26 atoms:
Mg: 0.110 0.890 0.750
Mg: 0.160 0.647 0.977
Mg: 0.278 0.431 0.281
Mg: 0.353 0.840 0.523
Mg: 0.431 0.278 0.781
Mg: 0.569 0.722 0.219
Mg: 0.647 0.160 0.477
Mg: 0.722 0.569 0.719
Mg: 0.840 0.353 0.023
Mg: 0.890 0.110 0.250
Si: 0.141 0.431 0.586
Si: 0.431 0.141 0.086
Si: 0.569 0.859 0.914
Si: 0.859 0.569 0.414
N: 0.126 0.210 0.677
N: 0.205 0.257 0.450
N: 0.210 0.126 0.177
N: 0.257 0.205 0.950
N: 0.394 0.523 0.630
N: 0.477 0.606 0.870
N: 0.523 0.394 0.130
N: 0.606 0.477 0.370
N: 0.743 0.795 0.050
N: 0.790 0.874 0.823
N: 0.795 0.743 0.550
N: 0.874 0.790 0.323

No. 10
A geometry-optimized Mg7SiN6 structure, computed with PBE.

Output
Formation enthalpy at 0 K (eV per atom): -0.95

abc: 8.195 8.195 8.195
angles: 140.82 102.23 90.75
Fractional coordinates of all 28 atoms:
Mg: 0.042 0.219 0.261
Mg: 0.109 0.485 0.834
Mg: 0.151 0.985 0.376
Mg: 0.250 0.250 0.000
Mg: 0.349 0.725 0.834
Mg: 0.391 0.225 0.376
Mg: 0.458 0.719 0.177
Mg: 0.542 0.281 0.823
Mg: 0.609 0.775 0.624
Mg: 0.651 0.275 0.166
Mg: 0.750 0.750 0.000
Mg: 0.849 0.015 0.624
Mg: 0.891 0.515 0.166
Mg: 0.958 0.781 0.739
Si: 0.250 0.750 0.500
Si: 0.750 0.250 0.500
N: 0.067 0.866 0.589
N: 0.155 0.871 0.026
N: 0.223 0.634 0.201
N: 0.277 0.478 0.411
N: 0.345 0.371 0.715
N: 0.433 0.022 0.799
N: 0.567 0.978 0.201
N: 0.655 0.629 0.285
N: 0.723 0.522 0.589
N: 0.777 0.366 0.799
N: 0.845 0.129 0.974
N: 0.933 0.134 0.411

No. 11
A geometry-optimized MgSi7N10 structure, computed with PBE.

Output
Formation enthalpy at 0 K (eV per atom): -1.18

abc: 6.732 6.886 9.717
angles: 90.00 105.15 90.00
Fractional coordinates of all 36 atoms:
Mg: 0.000 0.069 0.000
Mg: 0.000 0.931 0.500
Si: 0.115 0.398 0.876
Si: 0.115 0.602 0.376
Si: 0.303 0.381 0.186
Si: 0.303 0.619 0.686
Si: 0.354 0.022 0.822
Si: 0.354 0.978 0.322
Si: 0.488 0.368 0.490
Si: 0.488 0.632 0.990
Si: 0.546 0.021 0.127
Si: 0.546 0.979 0.627
Si: 0.666 0.361 0.796
Si: 0.666 0.639 0.296
Si: 0.848 0.382 0.112
Si: 0.848 0.618 0.612
N: 0.081 0.430 0.239
N: 0.081 0.570 0.739
N: 0.155 0.159 0.843
N: 0.155 0.841 0.343
N: 0.294 0.493 0.026
N: 0.294 0.507 0.526
N: 0.315 0.129 0.166
N: 0.315 0.871 0.666
N: 0.448 0.121 0.474
N: 0.448 0.879 0.974
N: 0.504 0.459 0.326
N: 0.504 0.541 0.826
N: 0.563 0.133 0.774
N: 0.563 0.867 0.274
N: 0.705 0.414 0.629
N: 0.705 0.586 0.129
N: 0.754 0.152 0.115
N: 0.754 0.848 0.615
N: 0.890 0.379 0.936
N: 0.890 0.621 0.436

No. 12
A geometry-optimized Mg7SnN6 structure, computed with PBE.

Output
Formation enthalpy at 0 K (eV per atom): -0.65

abc: 8.575 8.575 8.575
angles: 141.79 103.19 89.20
Fractional coordinates of all 28 atoms:
Mg: 0.030 0.242 0.272
Mg: 0.138 0.408 0.766
Mg: 0.142 0.908 0.270
Mg: 0.250 0.250 0.000
Mg: 0.358 0.628 0.766
Mg: 0.362 0.128 0.270
Mg: 0.470 0.742 0.213
Mg: 0.530 0.258 0.787
Mg: 0.638 0.872 0.730
Mg: 0.642 0.372 0.234
Mg: 0.750 0.750 0.000
Mg: 0.858 0.092 0.730
Mg: 0.862 0.592 0.234
Mg: 0.970 0.758 0.728
Sn: 0.250 0.750 0.500
Sn: 0.750 0.250 0.500
N: 0.051 0.901 0.630
N: 0.162 0.775 0.937
N: 0.229 0.599 0.150
N: 0.271 0.421 0.370
N: 0.338 0.275 0.614
N: 0.449 0.079 0.850
N: 0.551 0.921 0.150
N: 0.662 0.725 0.386
N: 0.729 0.579 0.630
N: 0.771 0.401 0.850
N: 0.838 0.225 0.063
N: 0.949 0.099 0.370